# 1
Here is a relaxed structure of Ca3Co2O6 from the Materials Project. Energies are from PBE with a Hubbard U.

Lattice parameters (Å, degrees): 6.3499 6.3719 6.4014 92.09 91.89 92.24
With the nearest neighbours (Å) after each atom.
Element x y z (fractional)
Ca  0.0000  0.0000  0.0000  8 O 2.38-2.64
Ca  0.1319  0.5014  0.8696  6 O 2.32-2.49
Ca  0.2670  0.3642  0.3743  8 O 2.37-2.60
Ca  0.5010  0.8671  0.1391  8 O 2.38-2.61
Ca  0.6372  0.7309  0.6412  6 O 2.32-2.49
Ca  0.7695  0.2321  0.5115  8 O 2.39-2.63
Co  0.1406  0.8641  0.5029  6 O 2.11-2.18
Co  0.3861  0.1170  0.7577  6 O 1.89-1.92
Co  0.6279  0.3671  0.0107  6 O 2.10-2.19
Co  0.8835  0.6152  0.2532  6 O 1.92-1.99
O  0.1006  0.1604  0.6763  1 Co 1.90
O  0.1720  0.6987  0.2107  2 Co 1.92-2.13
O  0.3013  0.8316  0.8006  1 Co 1.91
O  0.3406  0.1973  0.0429  2 Co 1.91-2.10
O  0.4286  0.0347  0.4710  2 Co 1.92-2.11
O  0.4689  0.4014  0.7127  1 Co 1.90
O  0.5949  0.5308  0.3009  2 Co 1.93-2.12
O  0.6698  0.0707  0.8366  1 Co 1.89
O  0.7977  0.6654  0.9610  2 Co 1.97-2.19
O  0.8416  0.9008  0.3411  1 Co 1.92
O  0.9262  0.3287  0.1695  1 Co 1.92
O  0.9715  0.5666  0.5488  2 Co 1.99-2.18

Summary:
Polymorph energy (0 for the lowest one) = 0.013 eV per atom
Space group = P1 (1)



# 2
Here is a relaxed structure of Ca3Co2O6 from the Materials Project. Energies are from PBE with a Hubbard U.

Lattice parameters (Å, degrees): 6.3248 6.3248 6.3248 92.43 92.43 92.43
With the nearest neighbours (Å) after each atom.
Element x y z (fractional)
Ca  0.1187  0.7500  0.3813  8 O 2.35-2.55
Ca  0.2500  0.6187  0.8813  8 O 2.35-2.55
Ca  0.3813  0.1187  0.7500  8 O 2.35-2.55
Ca  0.6187  0.8813  0.2500  8 O 2.35-2.55
Ca  0.7500  0.3813  0.1187  8 O 2.35-2.55
Ca  0.8813  0.2500  0.6187  8 O 2.35-2.55
Co  0.0000  0.0000  0.0000  6 O 1.93
Co  0.2500  0.2500  0.2500  6 O 2.06
Co  0.5000  0.5000  0.5000  6 O 1.93
Co  0.7500  0.7500  0.7500  6 O 2.06
O  0.0380  0.9055  0.7102  2 Co 1.93-2.06
O  0.0945  0.2898  0.9620  2 Co 1.93-2.06
O  0.2102  0.4055  0.5380  2 Co 1.93-2.06
O  0.2898  0.9620  0.0945  2 Co 1.93-2.06
O  0.4055  0.5380  0.2102  2 Co 1.93-2.06
O  0.4620  0.7898  0.5945  2 Co 1.93-2.06
O  0.5380  0.2102  0.4055  2 Co 1.93-2.06
O  0.5945  0.4620  0.7898  2 Co 1.93-2.06
O  0.7102  0.0380  0.9055  2 Co 1.93-2.06
O  0.7898  0.5945  0.4620  2 Co 1.93-2.06
O  0.9055  0.7102  0.0380  2 Co 1.93-2.06
O  0.9620  0.0945  0.2898  2 Co 1.93-2.06

Summary:
Polymorph energy (0 for the lowest one) = 0.000 eV per atom
Space group = R-3c (167)



# 3
Here is a relaxed structure of CaCo2O4 from the Materials Project. Energies are from PBE with a Hubbard U.

Lattice parameters (Å, degrees): 6.1928 6.2256 15.2855 89.10 89.55 60.58
With the nearest neighbours (Å) after each atom.
Element x y z (fractional)
Ca  0.0000  0.0000  0.0000  6 O 2.32-2.35
Ca  0.0014  0.0000  0.6175  4 O 2.17-2.18
Ca  0.0021  0.9974  0.3730  4 O 2.18-2.21
Ca  0.3342  0.3322  0.9576  4 O 2.20-2.21
Ca  0.3354  0.3294  0.7131  4 O 2.20-2.23
Ca  0.6673  0.6651  0.2834  4 O 2.17-2.26
Co  0.0020  0.4993  0.4981  6 O 2.04-2.07
Co  0.1685  0.6619  0.1683  6 O 2.02-2.08
Co  0.1710  0.1671  0.1693  6 O 2.03-2.10
Co  0.3329  0.3346  0.3345  6 O 1.95-2.11
Co  0.3350  0.8306  0.8290  5 O 1.95-2.09
Co  0.5008  0.4984  0.4985  6 O 2.04-2.07
Co  0.5031  0.9971  0.4991  6 O 1.97-2.13
Co  0.6649  0.1650  0.1684  6 O 2.01-2.07
Co  0.6678  0.6656  0.0470  4 O 2.00-2.07
Co  0.6737  0.6581  0.6629  6 O 1.98-2.09
Co  0.8349  0.8310  0.8289  6 O 1.97-2.17
Co  0.8365  0.3285  0.8286  5 O 1.91-2.10
O  0.0008  0.9986  0.2300  3 Co 2.03-2.07, 1 Ca 2.19
O  0.0023  0.9976  0.7592  3 Co 2.07-2.10, 1 Ca 2.17
O  0.0545  0.4697  0.2451  3 Co 2.02-2.03, 1 Ca 2.17
O  0.1452  0.1597  0.8900  2 Co 1.91-2.03
O  0.1522  0.6968  0.8922  2 Co 1.95-1.97
O  0.1919  0.1912  0.4237  3 Co 2.03-2.05, 1 Ca 2.21
O  0.1940  0.6176  0.4212  3 Co 2.04, 1 Ca 2.18
O  0.3266  0.8354  0.1008  3 Co 2.02-2.09
O  0.3316  0.3368  0.5672  3 Co 2.05-2.13, 1 Ca 2.23
O  0.3363  0.3312  0.1019  3 Co 2.03-2.07, 1 Ca 2.21
O  0.3873  0.8082  0.5743  3 Co 2.00-2.07, 1 Ca 2.18
O  0.4747  0.0518  0.2460  3 Co 2.01-2.06, 1 Ca 2.17
O  0.4762  0.4656  0.2489  3 Co 1.95-2.08, 1 Ca 2.17
O  0.5308  0.9393  0.7554  3 Co 1.99-2.09, 1 Ca 2.20
O  0.5369  0.5183  0.7557  3 Co 1.98-2.06, 1 Ca 2.20
O  0.6231  0.1827  0.4271  3 Co 1.97-2.11, 1 Ca 2.21
O  0.6680  0.6659  0.9114  4 Co 2.07-2.24
O  0.6715  0.6589  0.4312  3 Co 2.04-2.12, 1 Ca 2.26
O  0.6972  0.1557  0.8909  2 Co 1.92-2.02
O  0.8066  0.3854  0.5779  3 Co 1.98-2.06, 1 Ca 2.17
O  0.8138  0.8005  0.5754  3 Co 2.01-2.06, 1 Ca 2.18
O  0.8349  0.8375  0.1004  3 Co 2.00-2.08
O  0.8359  0.3247  0.1000  3 Co 2.01-2.10
O  0.9460  0.5217  0.7558  3 Co 1.97-2.05, 1 Ca 2.20

Summary:
Polymorph energy (0 for the lowest one) = 0.122 eV per atom
Space group = P1 (1)



# 4
Here is a relaxed structure of CaCo2O4 from the Materials Project. Energies are from PBE with a Hubbard U.

Lattice parameters (Å, degrees): 6.1871 6.1871 6.1871 120.43 119.57 90.00
With the nearest neighbours (Å) after each atom.
Element x y z (fractional)
Ca  0.0000  0.0000  0.0000  6 O 2.27-2.28
Ca  0.5000  0.0000  0.5000  6 O 2.27-2.28
Co  0.0000  0.0000  0.5000  6 O 1.98-2.14
Co  0.0000  0.5000  0.0000  6 O 1.98-2.14
Co  0.3641  0.6141  0.7500  4 O 1.88-1.96
Co  0.6359  0.3859  0.2500  4 O 1.88-1.96
O  0.2263  0.2422  0.5159  2 Co 1.88-1.98
O  0.2263  0.7104  0.9841  2 Co 1.88-1.98
O  0.2280  0.7393  0.4888  3 Co 1.96-2.14
O  0.2495  0.2607  0.9888  3 Co 1.96-2.14
O  0.7505  0.7393  0.0112  3 Co 1.96-2.14
O  0.7720  0.2607  0.5112  3 Co 1.96-2.14
O  0.7737  0.2896  0.0159  2 Co 1.88-1.98
O  0.7737  0.7578  0.4841  2 Co 1.88-1.98

Summary:
Polymorph energy (0 for the lowest one) = 0.210 eV per atom
Space group = Imma (74)



# 5
Here is a relaxed structure of Ca2Co2O5 from the Materials Project. Energies are from PBE with a Hubbard U.

Lattice parameters (Å, degrees): 5.3379 11.1200 14.9185 90.00 90.00 90.00
With the nearest neighbours (Å) after each atom.
Element x y z (fractional)
Ca  0.0109  0.0102  0.1075  6 O 2.32-2.55
Ca  0.0109  0.0102  0.3925  6 O 2.32-2.55
Ca  0.0109  0.4898  0.6075  6 O 2.32-2.55
Ca  0.0109  0.4898  0.8925  6 O 2.32-2.55
Ca  0.4875  0.2395  0.1074  6 O 2.31-2.58
Ca  0.4875  0.2395  0.3926  6 O 2.31-2.58
Ca  0.4875  0.2605  0.6074  6 O 2.31-2.58
Ca  0.4875  0.2605  0.8926  6 O 2.31-2.58
Ca  0.5125  0.7395  0.1074  6 O 2.31-2.58
Ca  0.5125  0.7395  0.3926  6 O 2.31-2.58
Ca  0.5125  0.7605  0.6074  6 O 2.31-2.58
Ca  0.5125  0.7605  0.8926  6 O 2.31-2.58
Ca  0.9891  0.5102  0.1075  6 O 2.32-2.55
Ca  0.9891  0.5102  0.3925  6 O 2.32-2.55
Ca  0.9891  0.9898  0.6075  6 O 2.32-2.55
Ca  0.9891  0.9898  0.8925  6 O 2.32-2.55
Co  0.0038  0.7500  0.0000  6 O 1.93-2.12
Co  0.0038  0.7500  0.5000  6 O 1.93-2.12
Co  0.0490  0.7189  0.7500  4 O 1.81-1.97
Co  0.0490  0.7811  0.2500  4 O 1.81-1.97
Co  0.4542  0.0315  0.7500  4 O 1.81-1.96
Co  0.4542  0.4685  0.2500  4 O 1.81-1.96
Co  0.5000  0.0000  0.0000  6 O 1.92-2.13
Co  0.5000  0.0000  0.5000  6 O 1.92-2.13
Co  0.5000  0.5000  0.0000  6 O 1.92-2.13
Co  0.5000  0.5000  0.5000  6 O 1.92-2.13
Co  0.5458  0.5315  0.7500  4 O 1.81-1.96
Co  0.5458  0.9685  0.2500  4 O 1.81-1.96
Co  0.9510  0.2189  0.7500  4 O 1.81-1.97
Co  0.9510  0.2811  0.2500  4 O 1.81-1.97
Co  0.9962  0.2500  0.0000  6 O 1.93-2.12
Co  0.9962  0.2500  0.5000  6 O 1.93-2.12
O  0.0114  0.2194  0.1402  1 Co 1.81
O  0.0114  0.2194  0.3598  1 Co 1.81
O  0.0114  0.2806  0.6402  1 Co 1.81
O  0.0114  0.2806  0.8598  1 Co 1.81
O  0.0903  0.0574  0.7500  2 Co 1.94-1.96
O  0.0903  0.4426  0.2500  2 Co 1.94-1.96
O  0.2450  0.1237  0.5147  2 Co 1.95
O  0.2450  0.1237  0.9853  2 Co 1.95
O  0.2450  0.3763  0.0147  2 Co 1.95
O  0.2450  0.3763  0.4853  2 Co 1.95
O  0.2554  0.6262  0.5104  2 Co 1.92-1.93
O  0.2554  0.6262  0.9896  2 Co 1.92-1.93
O  0.2554  0.8738  0.0104  2 Co 1.92-1.93
O  0.2554  0.8738  0.4896  2 Co 1.92-1.93
O  0.4138  0.6935  0.7500  2 Co 1.93-1.97
O  0.4138  0.8065  0.2500  2 Co 1.93-1.97
O  0.4772  0.0313  0.1407  1 Co 1.81
O  0.4772  0.0313  0.3593  1 Co 1.81
O  0.4772  0.4687  0.6407  1 Co 1.81
O  0.4772  0.4687  0.8593  1 Co 1.81
O  0.5228  0.5313  0.1407  1 Co 1.81
O  0.5228  0.5313  0.3593  1 Co 1.81
O  0.5228  0.9687  0.6407  1 Co 1.81
O  0.5228  0.9687  0.8593  1 Co 1.81
O  0.5862  0.1935  0.7500  2 Co 1.93-1.97
O  0.5862  0.3065  0.2500  2 Co 1.93-1.97
O  0.7446  0.1262  0.5104  2 Co 1.92-1.93
O  0.7446  0.1262  0.9896  2 Co 1.92-1.93
O  0.7446  0.3738  0.0104  2 Co 1.92-1.93
O  0.7446  0.3738  0.4896  2 Co 1.92-1.93
O  0.7550  0.6237  0.5147  2 Co 1.95
O  0.7550  0.6237  0.9853  2 Co 1.95
O  0.7550  0.8763  0.0147  2 Co 1.95
O  0.7550  0.8763  0.4853  2 Co 1.95
O  0.9097  0.5574  0.7500  2 Co 1.94-1.96
O  0.9097  0.9426  0.2500  2 Co 1.94-1.96
O  0.9886  0.7194  0.1402  1 Co 1.81
O  0.9886  0.7194  0.3598  1 Co 1.81
O  0.9886  0.7806  0.6402  1 Co 1.81
O  0.9886  0.7806  0.8598  1 Co 1.81

Summary:
Polymorph energy (0 for the lowest one) = 0.000 eV per atom
Space group = Pbcm (57)



# 6
Here is a relaxed structure of Ca2Co2O5 from the Materials Project. Energies are from PBE with a Hubbard U.

Lattice parameters (Å, degrees): 5.3683 5.2033 7.9606 90.00 90.05 90.00
With the nearest neighbours (Å) after each atom.
Element x y z (fractional)
Ca  0.2038  0.0000  0.2520  5 O 2.33-2.51
Ca  0.2898  0.0556  0.7507  5 O 2.26-2.39
Ca  0.7102  0.5556  0.2493  5 O 2.26-2.39
Ca  0.7962  0.5000  0.7480  5 O 2.33-2.51
Co  0.2470  0.5329  0.5205  5 O 1.84-2.02
Co  0.2502  0.5327  0.9800  5 O 1.87-2.00
Co  0.7498  0.0327  0.0200  5 O 1.87-2.00
Co  0.7530  0.0329  0.4795  5 O 1.84-2.02
O  0.0318  0.2307  0.5508  2 Co 1.90-1.97
O  0.0337  0.2330  0.9568  2 Co 1.91-1.95
O  0.2274  0.6256  0.7431  2 Co 1.84-1.95
O  0.4614  0.7928  0.4445  2 Co 1.88-2.02
O  0.4627  0.7926  0.0564  2 Co 1.87-2.00
O  0.5373  0.2926  0.9436  2 Co 1.87-2.00
O  0.5386  0.2928  0.5555  2 Co 1.88-2.02
O  0.7726  0.1256  0.2569  2 Co 1.84-1.95
O  0.9663  0.7330  0.0432  2 Co 1.91-1.95
O  0.9682  0.7307  0.4492  2 Co 1.90-1.97

Summary:
Polymorph energy (0 for the lowest one) = 0.181 eV per atom
Space group = P2_1 (4)



# 7
Here is a relaxed structure of Ca2Co3O8 from the Materials Project. Energies are from PBE with a Hubbard U.

Lattice parameters (Å, degrees): 5.9956 5.9956 10.5128 90.00 90.00 120.00
With the nearest neighbours (Å) after each atom.
Element x y z (fractional)
Ca  0.3333  0.6667  0.0000  6 O 2.37-2.42
Ca  0.3333  0.6667  0.4014  4 O 2.17-2.19
Ca  0.6667  0.3333  0.5000  6 O 2.37-2.42
Ca  0.6667  0.3333  0.9014  4 O 2.17-2.19
Co  0.1639  0.3279  0.7218  5 O 1.87-2.07
Co  0.1639  0.8361  0.7218  5 O 1.87-2.07
Co  0.3279  0.1639  0.2218  5 O 1.87-2.07
Co  0.6721  0.8361  0.7218  5 O 1.87-2.07
Co  0.8361  0.1639  0.2218  5 O 1.87-2.07
Co  0.8361  0.6721  0.2218  5 O 1.87-2.07
O  0.0000  0.0000  0.3340  3 Co 2.07
O  0.0000  0.0000  0.8340  3 Co 2.07
O  0.0489  0.5245  0.8177  2 Co 1.92
O  0.1514  0.3029  0.1368  2 Co 1.87
O  0.1514  0.8486  0.1368  2 Co 1.87
O  0.3029  0.1514  0.6368  2 Co 1.87
O  0.3333  0.6667  0.6096  3 Co 2.12, 1 Ca 2.19
O  0.4755  0.5245  0.8177  2 Co 1.92
O  0.4755  0.9511  0.8177  2 Co 1.92
O  0.5245  0.0489  0.3177  2 Co 1.92
O  0.5245  0.4755  0.3177  2 Co 1.92
O  0.6667  0.3333  0.1096  3 Co 2.12, 1 Ca 2.19
O  0.6971  0.8486  0.1368  2 Co 1.87
O  0.8486  0.1514  0.6368  2 Co 1.87
O  0.8486  0.6971  0.6368  2 Co 1.87
O  0.9511  0.4755  0.3177  2 Co 1.92

Summary:
Polymorph energy (0 for the lowest one) = 0.087 eV per atom
Space group = P6_3mc (186)



# 8
Here is a relaxed structure of Ca2CoO3 from the Materials Project. Energies are from PBE with a Hubbard U.

Lattice parameters (Å, degrees): 3.2840 3.2840 11.0855 95.56 95.56 89.73
With the nearest neighbours (Å) after each atom.
Element x y z (fractional)
Ca  0.0630  0.0630  0.2019  5 O 2.22-2.33
Ca  0.9370  0.9370  0.7981  5 O 2.22-2.33
Co  0.5000  0.5000  0.0000  6 O 2.16-2.33
O  0.0000  0.0000  0.0000  2 Ca 2.22, 4 Co 2.32-2.33
O  0.4385  0.4385  0.8035  1 Co 2.16, 4 Ca 2.32-2.33
O  0.5615  0.5615  0.1965  1 Co 2.16, 4 Ca 2.32-2.33

Summary:
Polymorph energy (0 for the lowest one) = 0.004 eV per atom
Space group = C2/m (12)